[1]
# TeMoSe PBE relaxed
data_TeMoSe
_space_group_name_H-M_alt 'P 3 m 1'
_space_group_IT_number 156
_space_group_name_Hall 'P 3 -2"'
_cell_length_a 3.4406
_cell_length_b 3.4406
_cell_length_c 39.0522
_cell_angle_alpha 90.00
_cell_angle_beta 90.00
_cell_angle_gamma 120.00
loop_
_atom_site_label
_atom_site_fract_x
_atom_site_fract_y
_atom_site_fract_z
_atom_site_occupancy
Te1 0.0000 0.0000 0.0000 1
Te2 0.0000 0.0000 0.0950 1
Te3 0.0000 0.0000 0.3757 1
Te4 0.0000 0.0000 0.4708 1
Mo1 0.0000 0.0000 0.2354 1
Mo2 0.0000 0.0000 0.8596 1
Mo3 0.3333 0.6667 0.0475 1
Mo4 0.3333 0.6667 0.4232 1
Se1 0.3333 0.6667 0.1935 1
Se2 0.3333 0.6667 0.2773 1
Se3 0.3333 0.6667 0.8178 1
Se4 0.3333 0.6667 0.9015 1
# Mass density (g cm⁻³): 5.0
# Crystal system: trigonal
# Formation enthalpy at 0 K (eV/f.u.): -1.81
# Total magnetization (μB per formula unit): 0.00
# Energy with MP2020 corrections (eV/atom): -6.432

[2]
# TeMoSe PBE relaxed
data_TeMoSe
_space_group_name_H-M_alt 'P 3 m 1'
_space_group_IT_number 156
_space_group_name_Hall 'P 3 -2"'
_cell_length_a 3.4386
_cell_length_b 3.4386
_cell_length_c 24.3653
_cell_angle_alpha 90.00
_cell_angle_beta 90.00
_cell_angle_gamma 120.00
loop_
_atom_site_label
_atom_site_fract_x
_atom_site_fract_y
_atom_site_fract_z
_atom_site_occupancy
Te1 0.0000 0.0000 0.0000 1
Te2 0.0000 0.0000 0.1524 1
Mo1 0.0000 0.0000 0.7752 1
Mo2 0.3333 0.6667 0.0762 1
Se1 0.3333 0.6667 0.7081 1
Se2 0.3333 0.6667 0.8425 1
# Mass density (g cm⁻³): 4.0
# Crystal system: trigonal
# Formation enthalpy at 0 K (eV/f.u.): -1.81
# Total magnetization (μB per formula unit): 0.00
# Energy with MP2020 corrections (eV/atom): -6.431

[3]
# TeMoSe PBE relaxed
data_TeMoSe
_space_group_name_H-M_alt 'P -3 m 1'
_space_group_IT_number 164
_space_group_name_Hall '-P 3 2"'
_cell_length_a 3.4406
_cell_length_b 3.4406
_cell_length_c 39.0368
_cell_angle_alpha 90.00
_cell_angle_beta 90.00
_cell_angle_gamma 120.00
loop_
_atom_site_label
_atom_site_fract_x
_atom_site_fract_y
_atom_site_fract_z
_atom_site_occupancy
Te1 0.3333 0.6667 0.2343 1
Te2 0.3333 0.6667 0.3293 1
Mo1 0.3333 0.6667 0.0939 1
Mo2 0.3333 0.6667 0.7182 1
Se1 0.3333 0.6667 0.8642 1
Se2 0.3333 0.6667 0.9480 1
# Mass density (g cm⁻³): 5.0
# Crystal system: trigonal
# Formation enthalpy at 0 K (eV/f.u.): -1.81
# Total magnetization (μB per formula unit): 0.00
# Energy with MP2020 corrections (eV/atom): -6.432

[4]
# TeMoSe PBE relaxed
data_TeMoSe
_space_group_name_H-M_alt 'P -3 m 1'
_space_group_IT_number 164
_space_group_name_Hall '-P 3 2"'
_cell_length_a 3.4393
_cell_length_b 3.4393
_cell_length_c 14.2448
_cell_angle_alpha 90.00
_cell_angle_beta 90.00
_cell_angle_gamma 120.00
loop_
_atom_site_label
_atom_site_fract_x
_atom_site_fract_y
_atom_site_fract_z
_atom_site_occupancy
Te1 0.3333 0.6667 0.3748 1
Mo1 0.3333 0.6667 0.7563 1
Se1 0.3333 0.6667 0.1302 1
# Mass density (g cm⁻³): 6.9
# Crystal system: trigonal
# Formation enthalpy at 0 K (eV/f.u.): -1.81
# Total magnetization (μB per formula unit): 0.00
# Energy with MP2020 corrections (eV/atom): -6.432

[5]
# TeMoSe PBE relaxed
data_TeMoSe
_space_group_name_H-M_alt 'P -3 m 1'
_space_group_IT_number 164
_space_group_name_Hall '-P 3 2"'
_cell_length_a 3.4407
_cell_length_b 3.4407
_cell_length_c 39.0747
_cell_angle_alpha 90.00
_cell_angle_beta 90.00
_cell_angle_gamma 120.00
loop_
_atom_site_label
_atom_site_fract_x
_atom_site_fract_y
_atom_site_fract_z
_atom_site_occupancy
Te1 0.3333 0.6667 0.3586 1
Te2 0.3333 0.6667 0.4535 1
Mo1 0.3333 0.6667 0.2182 1
Mo2 0.3333 0.6667 0.5940 1
Se1 0.3333 0.6667 0.7399 1
Se2 0.3333 0.6667 0.8237 1
# Mass density (g cm⁻³): 5.0
# Crystal system: trigonal
# Formation enthalpy at 0 K (eV/f.u.): -1.81
# Total magnetization (μB per formula unit): 0.00
# Energy with MP2020 corrections (eV/atom): -6.431

[6]
# TeMoSe PBE relaxed
data_TeMoSe
_space_group_name_H-M_alt 'P 3 m 1'
_space_group_IT_number 156
_space_group_name_Hall 'P 3 -2"'
_cell_length_a 3.4406
_cell_length_b 3.4406
_cell_length_c 39.0726
_cell_angle_alpha 90.00
_cell_angle_beta 90.00
_cell_angle_gamma 120.00
loop_
_atom_site_label
_atom_site_fract_x
_atom_site_fract_y
_atom_site_fract_z
_atom_site_occupancy
Te1 0.0000 0.0000 0.0000 1
Te2 0.0000 0.0000 0.0950 1
Te3 0.3333 0.6667 0.8121 1
Te4 0.3333 0.6667 0.9071 1
Mo1 0.0000 0.0000 0.4839 1
Mo2 0.0000 0.0000 0.8596 1
Mo3 0.3333 0.6667 0.0475 1
Mo4 0.3333 0.6667 0.6717 1
Se1 0.0000 0.0000 0.6299 1
Se2 0.0000 0.0000 0.7136 1
Se3 0.3333 0.6667 0.4420 1
Se4 0.3333 0.6667 0.5257 1
# Mass density (g cm⁻³): 5.0
# Crystal system: trigonal
# Formation enthalpy at 0 K (eV/f.u.): -1.81
# Total magnetization (μB per formula unit): 0.00
# Energy with MP2020 corrections (eV/atom): -6.431

[7]
# TeMoWSe3 PBE relaxed
data_TeMoWSe3
_space_group_name_H-M_alt 'P 3 m 1'
_space_group_IT_number 156
_space_group_name_Hall 'P 3 -2"'
_cell_length_a 3.3793
_cell_length_b 3.3793
_cell_length_c 38.4926
_cell_angle_alpha 90.00
_cell_angle_beta 90.00
_cell_angle_gamma 120.00
loop_
_atom_site_label
_atom_site_fract_x
_atom_site_fract_y
_atom_site_fract_z
_atom_site_occupancy
Te1 0.0000 0.0000 0.0000 1
Te2 0.0000 0.0000 0.0977 1
Mo1 0.6667 0.3333 0.0489 1
Mo2 0.6667 0.3333 0.6731 1
W1 0.0000 0.0000 0.2367 1
W2 0.0000 0.0000 0.8610 1
Se1 0.0000 0.0000 0.6301 1
Se2 0.0000 0.0000 0.7161 1
Se3 0.6667 0.3333 0.1935 1
Se4 0.6667 0.3333 0.2799 1
Se5 0.6667 0.3333 0.8178 1
Se6 0.6667 0.3333 0.9042 1
# E above lowest polymorph (eV per formula unit): 0.00
# Mass density (g cm⁻³): 5.6
# Crystal system: trigonal
# Formation enthalpy at 0 K (eV/f.u.): -4.38
# Total magnetization (μB per formula unit): 0.00
# Energy with MP2020 corrections (eV/atom): -6.969

[8]
# Te3MoWSe PBE relaxed
data_Te3MoWSe
_space_group_name_H-M_alt 'P 3 m 1'
_space_group_IT_number 156
_space_group_name_Hall 'P 3 -2"'
_cell_length_a 3.5000
_cell_length_b 3.5000
_cell_length_c 39.6045
_cell_angle_alpha 90.00
_cell_angle_beta 90.00
_cell_angle_gamma 120.00
loop_
_atom_site_label
_atom_site_fract_x
_atom_site_fract_y
_atom_site_fract_z
_atom_site_occupancy
Te1 0.0000 0.0000 0.0000 1
Te2 0.0000 0.0000 0.0924 1
Te3 0.0000 0.0000 0.3755 1
Te4 0.0000 0.0000 0.4684 1
Te5 0.6667 0.3333 0.5633 1
Te6 0.6667 0.3333 0.6563 1
Mo1 0.0000 0.0000 0.2341 1
Mo2 0.6667 0.3333 0.0462 1
W1 0.0000 0.0000 0.6098 1
W2 0.6667 0.3333 0.4219 1
Se1 0.6667 0.3333 0.1932 1
Se2 0.6667 0.3333 0.2749 1
# E above lowest polymorph (eV per formula unit): 0.12
# Mass density (g cm⁻³): 5.9
# Crystal system: trigonal
# Formation enthalpy at 0 K (eV/f.u.): -2.01
# Total magnetization (μB per formula unit): 0.00
# Energy with MP2020 corrections (eV/atom): -6.456

[9]
# Te4MoW3Se4 PBE relaxed
data_Te4MoW3Se4
_space_group_name_H-M_alt 'P 3 m 1'
_space_group_IT_number 156
_space_group_name_Hall 'P 3 -2"'
_cell_length_a 3.4388
_cell_length_b 3.4388
_cell_length_c 39.1476
_cell_angle_alpha 90.00
_cell_angle_beta 90.00
_cell_angle_gamma 120.00
loop_
_atom_site_label
_atom_site_fract_x
_atom_site_fract_y
_atom_site_fract_z
_atom_site_occupancy
Te1 0.0000 0.0000 0.0000 1
Te2 0.0000 0.0000 0.0953 1
Te3 0.0000 0.0000 0.3758 1
Te4 0.0000 0.0000 0.4710 1
Mo1 0.0000 0.0000 0.8598 1
W1 0.0000 0.0000 0.2355 1
W2 0.3333 0.6667 0.0476 1
W3 0.3333 0.6667 0.4234 1
Se1 0.3333 0.6667 0.1936 1
Se2 0.3333 0.6667 0.2774 1
Se3 0.3333 0.6667 0.8180 1
Se4 0.3333 0.6667 0.9015 1
# E above lowest polymorph (eV per formula unit): 0.24
# Mass density (g cm⁻³): 6.1
# Crystal system: trigonal
# Formation enthalpy at 0 K (eV/f.u.): -5.71
# Total magnetization (μB per formula unit): 0.00
# Energy with MP2020 corrections (eV/atom): -6.832

[10]
# Te4MoW3Se4 PBE relaxed
data_Te4MoW3Se4
_space_group_name_H-M_alt 'P 3 m 1'
_space_group_IT_number 156
_space_group_name_Hall 'P 3 -2"'
_cell_length_a 3.4378
_cell_length_b 3.4378
_cell_length_c 39.1666
_cell_angle_alpha 90.00
_cell_angle_beta 90.00
_cell_angle_gamma 120.00
loop_
_atom_site_label
_atom_site_fract_x
_atom_site_fract_y
_atom_site_fract_z
_atom_site_occupancy
Te1 0.0000 0.0000 0.0000 1
Te2 0.0000 0.0000 0.0947 1
Te3 0.0000 0.0000 0.3754 1
Te4 0.0000 0.0000 0.4708 1
Mo1 0.6667 0.3333 0.0473 1
W1 0.0000 0.0000 0.2352 1
W2 0.0000 0.0000 0.6110 1
W3 0.6667 0.3333 0.4231 1
Se1 0.6667 0.3333 0.1933 1
Se2 0.6667 0.3333 0.2772 1
Se3 0.6667 0.3333 0.5690 1
Se4 0.6667 0.3333 0.6529 1
# E above lowest polymorph (eV per formula unit): 0.00
# Mass density (g cm⁻³): 6.1
# Crystal system: trigonal
# Formation enthalpy at 0 K (eV/f.u.): -5.94
# Total magnetization (μB per formula unit): 0.00
# Energy with MP2020 corrections (eV/atom): -6.852